# Li4Pt

A relaxed structure of Li4Pt (PBE, the Materials Project).

Properties
Formation enthalpy at 0 K   0.11 eV per atom
Space-group type   No. 227

Cell lengths 6.765, 6.765, 6.765 Å; angles 60.00, 60.00, 60.00 degrees
Element x y z (fractional)
Li1 0.608 0.176 0.608
Pt1 0.000 0.000 0.000
Li2 0.142 0.142 0.574
Li3 0.608 0.608 0.176
Pt2 0.750 0.750 0.750
Li4 0.142 0.574 0.142
Li5 0.574 0.142 0.142
Li6 0.176 0.608 0.608
Li7 0.142 0.142 0.142
Li8 0.608 0.608 0.608

---

# NaCeZrNbO6

A relaxed structure of NaCeZrNbO6 (PBE, the Materials Project).

Properties
Formation enthalpy at 0 K   -3.15 eV per atom
Space-group type   No. 216

Cell lengths 5.809, 5.809, 5.809 Å; angles 60.00, 60.00, 60.00 degrees
Element x y z (fractional)
Ce1 0.750 0.750 0.750
O1 0.246 0.246 0.754
Na1 0.250 0.250 0.250
O2 0.754 0.754 0.246
O3 0.754 0.246 0.754
O4 0.754 0.246 0.246
Nb1 0.000 0.000 0.000
O5 0.246 0.754 0.246
O6 0.246 0.754 0.754
Zr1 0.500 0.500 0.500

---

# BaGe3

A relaxed structure of BaGe3 (PBE, the Materials Project).

Properties
Formation enthalpy at 0 K   -0.36 eV per atom
Space-group type   No. 194

Cell lengths 5.262, 6.857, 6.857 Å; angles 60.00, 90.00, 90.00 degrees
Element x y z (fractional)
Ge1 0.250 0.127 0.747
Ge2 0.750 0.873 0.873
Ge3 0.250 0.747 0.127
Ba1 0.750 0.333 0.333
Ge4 0.750 0.873 0.253
Ge5 0.250 0.127 0.127
Ba2 0.250 0.667 0.667
Ge6 0.750 0.253 0.873

---

# Y3B7W

A relaxed structure of Y3B7W (PBE, the Materials Project).

Properties
Formation enthalpy at 0 K   -0.58 eV per atom
Space-group type   No. 63

Cell lengths 8.195, 8.195, 9.500 Å; angles 90.00, 90.00, 155.53 degrees
Element x y z (fractional)
W1 0.946 0.054 0.250
B1 0.365 0.635 0.147
Y1 0.893 0.107 0.940
B2 0.635 0.365 0.853
B3 0.635 0.365 0.647
B4 0.544 0.456 0.250
B5 0.520 0.480 0.908
B6 0.520 0.480 0.592
Y2 0.107 0.893 0.440
B7 0.727 0.273 0.533
B8 0.480 0.520 0.092
W2 0.054 0.946 0.750
B9 0.727 0.273 0.967
B10 0.273 0.727 0.033
Y3 0.893 0.107 0.560
Y4 0.756 0.244 0.250
B11 0.480 0.520 0.408
Y5 0.107 0.893 0.060
B12 0.456 0.544 0.750
B13 0.365 0.635 0.353
B14 0.273 0.727 0.467
Y6 0.244 0.756 0.750

---

# CaAg2O4

A relaxed structure of CaAg2O4 (PBE, the Materials Project).

Properties
Formation enthalpy at 0 K   -1.21 eV per atom
Space-group type   No. 141
Relative energy among the computed polymorphs   0.135 eV/atom

Cell lengths 7.634, 7.634, 7.634 Å; angles 133.31, 133.31, 68.17 degrees
Element x y z (fractional)
O1 0.623 0.348 0.725
O2 0.103 0.377 0.725
Ag1 0.375 0.125 0.250
Ca1 0.250 0.750 0.500
O3 0.652 0.377 0.275
O4 0.127 0.353 0.225
O5 0.623 0.897 0.275
Ag2 0.875 0.125 0.250
O6 0.098 0.873 0.225
Ag3 0.875 0.625 0.750
Ca2 0.500 0.500 0.000
O7 0.127 0.902 0.775
O8 0.647 0.873 0.775
Ag4 0.875 0.125 0.750

---

# K2SrCl4

A relaxed structure of K2SrCl4 (PBE, the Materials Project).

Properties
Formation enthalpy at 0 K   -2.50 eV per atom
Space-group type   No. 9
Relative energy among the computed polymorphs   0.001 eV/atom

Cell lengths 8.055, 8.055, 7.904 Å; angles 70.59, 70.59, 107.49 degrees
Element x y z (fractional)
Cl1 0.373 0.996 0.985
Cl2 0.131 0.637 0.885
Cl3 0.637 0.131 0.385
Cl4 0.519 0.513 0.133
Cl5 0.996 0.373 0.485
Sr1 0.859 0.619 0.258
Cl6 0.978 0.853 0.496
K1 0.353 0.754 0.391
Sr2 0.619 0.859 0.758
Cl7 0.853 0.978 0.996
K2 0.754 0.353 0.891
K3 0.250 0.137 0.617
K4 0.137 0.250 0.117
Cl8 0.513 0.519 0.633